(1)
Density functional theory data (PBE-GGA) for crystalline LiCuP2O6 at its relaxed geometry.

a b c (Å): 10.469 8.582 11.954
angles (deg): 90.00 112.35 90.00
Space group P2_1/c (No. 14)
Asymmetric unit:
Li1 0.225 0.052 0.209
Li2 0.255 0.604 0.013
Cu1 0.247 0.538 0.474
Cu2 0.262 0.729 0.260
P1 0.005 0.014 0.315
P2 0.030 0.231 0.524
P3 0.468 0.234 0.486
P4 0.499 0.502 0.186
O1 0.075 0.123 0.645
O2 0.077 0.117 0.438
O3 0.102 0.603 0.285
O4 0.125 0.133 0.055
O5 0.125 0.749 0.530
O6 0.130 0.550 0.797
O7 0.376 0.577 0.199
O8 0.376 0.740 0.966
O9 0.379 0.127 0.964
O10 0.385 0.577 0.714
O11 0.415 0.131 0.361
O12 0.424 0.112 0.571

Output
Total magnetic moment = 0.00 μB per formula unit
Crystal system = monoclinic
Polymorph energy (0 for the lowest one) = 62 meV/atom

=====

(2)
Density functional theory data (PBE-GGA) for crystalline Ba2SnSe5 at its relaxed geometry.

a b c (Å): 12.571 17.593 18.448
angles (deg): 90.00 90.00 90.00
Space group P2_12_12_1 (No. 19)
Asymmetric unit:
Ba1 0.005 0.073 0.243
Ba2 0.006 0.067 0.746
Ba3 0.007 0.069 0.494
Ba4 0.011 0.066 0.994
Ba5 0.133 0.317 0.004
Ba6 0.134 0.323 0.253
Ba7 0.137 0.323 0.503
Ba8 0.142 0.323 0.754
Sn1 0.152 0.814 0.360
Sn2 0.179 0.870 0.671
Sn3 0.181 0.867 0.073
Sn4 0.185 0.871 0.871
Se1 0.008 0.923 0.617
Se2 0.008 0.925 0.121
Se3 0.010 0.425 0.631
Se4 0.014 0.923 0.369
Se5 0.110 0.748 0.239
Se6 0.112 0.734 0.474
Se7 0.120 0.184 0.373
Se8 0.121 0.762 0.758
Se9 0.121 0.763 0.980
Se10 0.138 0.175 0.624
Se11 0.142 0.175 0.870
Se12 0.143 0.174 0.119
Se13 0.188 0.601 0.128
Se14 0.188 0.607 0.880
Se15 0.189 0.604 0.387
Se16 0.189 0.608 0.626
Se17 0.239 0.973 0.981
Se18 0.239 0.974 0.762
Se19 0.249 0.496 0.053
Se20 0.250 0.497 0.307

Output
Total magnetic moment = 0.00 μB per formula unit
Crystal system = orthorhombic
Polymorph energy (0 for the lowest one) = 0 meV/atom

=====

(3)
Density functional theory data (PBE-GGA) for crystalline Sb2Pd at its relaxed geometry.

a b c (Å): 6.565 6.565 6.565
angles (deg): 90.00 90.00 90.00
Space group Pa-3 (No. 205)
Asymmetric unit:
Sb1 0.127 0.127 0.127
Pd1 0.000 0.000 0.500

Output
Crystal system = cubic

=====

(4)
Density functional theory data (PBE-GGA) for crystalline Zr2Al3Co at its relaxed geometry.

a b c (Å): 5.2653 5.2653 12.4687
angles (deg): 90.00 90.00 120.00
Space group R-3m (No. 166, hexagonal axes)
Asymmetric unit:
Zr1 0.0000 0.0000 0.1282
Al1 0.0000 0.5000 0.0000
Co1 0.0000 0.0000 0.5000

Output
Crystal system = trigonal

=====

(5)
Density functional theory data (PBE-GGA) for crystalline CeIn4Ni at its relaxed geometry.

a b c (Å): 4.511 16.854 7.193
angles (deg): 90.00 90.00 90.00
Space group Cmcm (No. 63)
Asymmetric unit:
Ce1 0.000 0.117 0.250
In1 0.000 0.074 0.750
In2 0.000 0.312 0.046
In3 0.000 0.500 0.000
Ni1 0.000 0.225 0.750

Output
Total magnetic moment = 0.79 μB per formula unit
Crystal system = orthorhombic

=====

(6)
Density functional theory data (PBE-GGA) for crystalline Y4NiSn8 at its relaxed geometry.

a b c (Å): 4.403 4.412 16.909
angles (deg): 90.00 90.00 90.00
Space group Pmm2 (No. 25)
Asymmetric unit:
Y1 0.000 0.000 0.000
Y2 0.000 0.500 0.199
Y3 0.500 0.000 0.495
Y4 0.500 0.500 0.701
Ni1 0.000 0.000 0.788
Sn1 0.000 0.000 0.352
Sn2 0.000 0.000 0.643
Sn3 0.000 0.500 0.528
Sn4 0.000 0.500 0.860
Sn5 0.500 0.000 0.162
Sn6 0.500 0.000 0.861
Sn7 0.500 0.500 0.041
Sn8 0.500 0.500 0.344

Output
Total magnetic moment = 0.00 μB per formula unit
Crystal system = orthorhombic

=====

(7)
Density functional theory data (PBE-GGA) for crystalline Na3Au at its relaxed geometry.

a b c (Å): 6.6671 6.6671 5.3649
angles (deg): 90.00 90.00 120.00
Space group P6_3/mmc (No. 194)
Asymmetric unit:
Na1 0.1754 0.3508 0.2500
Au1 0.3333 0.6667 0.7500

Output
Crystal system = hexagonal

=====

(8)
Density functional theory data (PBE-GGA) for crystalline Be4FeGe at its relaxed geometry.

a b c (Å): 5.975 5.975 5.975
angles (deg): 90.00 90.00 90.00
Space group F-43m (No. 216)
Asymmetric unit:
Be1 0.124 0.124 0.376
Fe1 0.250 0.250 0.750
Ge1 0.000 0.000 0.000

Output
Total magnetic moment = 0.00 μB per formula unit
Crystal system = cubic

=====

(9)
Density functional theory data (PBE-GGA) for crystalline Ba3LiTi3O8 at its relaxed geometry.

a b c (Å): 10.490 5.664 7.265
angles (deg): 90.00 95.31 90.00
Space group Cm (No. 8)
Asymmetric unit:
Ba1 0.000 0.000 0.000
Ba2 0.100 0.500 0.397
Ba3 0.296 0.000 0.689
Li1 0.297 0.500 0.194
Ti1 0.135 0.500 0.857
Ti2 0.323 0.000 0.165
Ti3 0.441 0.500 0.546
O1 0.043 0.246 0.692
O2 0.225 0.251 0.026
O3 0.294 0.500 0.693
O4 0.376 0.254 0.357
O5 0.472 0.000 0.030

Output
Total magnetic moment = 2.49 μB per formula unit
Crystal system = monoclinic
Polymorph energy (0 for the lowest one) = 0 meV/atom

=====

(10)
Density functional theory data (PBE-GGA) for crystalline BaPd at its relaxed geometry.

a b c (Å): 5.1322 5.1322 5.6509
angles (deg): 90.00 90.00 120.00
Space group P6_3/mmc (No. 194)
Asymmetric unit:
Ba1 0.3333 0.6667 0.2500
Pd1 0.0000 0.0000 0.0000

Output
Crystal system = hexagonal

=====

(11)
Density functional theory data (PBE-GGA) for crystalline RuSe2 at its relaxed geometry.

a b c (Å): 6.008 6.008 6.008
angles (deg): 90.00 90.00 90.00
Space group Pa-3 (No. 205)
Asymmetric unit:
Ru1 0.000 0.000 0.000
Se1 0.121 0.621 0.879

Output
Crystal system = cubic

=====

(12)
Density functional theory data (PBE-GGA) for crystalline Ba2ZnCd at its relaxed geometry.

a b c (Å): 8.441 8.441 8.441
angles (deg): 90.00 90.00 90.00
Space group Fm-3m (No. 225)
Asymmetric unit:
Ba1 0.250 0.250 0.250
Zn1 0.000 0.000 0.000
Cd1 0.000 0.000 0.500

Output
Crystal system = cubic

=====

The records above yield energy of formation from the pure elements values of -22.51; -12.09; -1.05; -3.15; -1.90; -7.54; -0.71; -0.45; -45.77; -1.08; -2.22; -0.97 eV/f.u., respectively.
The records above yield uncorrected energy values of -6.49; -4.38; -4.83; -6.43; -4.10; -5.48; -1.99; -4.75; -7.41; -4.09; -5.85; -1.75 eV/atom, respectively.